Here is a relaxed structure of Li7Mn5O12 from the Materials Project database. Energies are from PBE with a Hubbard U.

POSCAR file:
```
Li7Mn5O12
1.0
4.827 -0.138 4.959
-3.403 7.455 0.111
-5.135 -0.070 7.102
Mn Li O
10 14 24
Direct
0.342 0.337 0.996
0.167 0.667 0.500
0.092 0.340 0.751
0.495 0.996 0.502
0.992 0.996 0.004
0.744 0.998 0.748
0.838 0.338 0.498
0.590 0.336 0.252
0.667 0.667 0.000
0.241 0.993 0.249
0.061 0.821 0.751
0.167 0.167 0.500
0.436 0.172 0.756
0.587 0.829 0.255
0.897 0.161 0.244
0.913 0.669 0.250
0.495 0.503 0.511
0.272 0.512 0.249
0.746 0.504 0.745
0.420 0.665 0.750
0.667 0.167 0.000
0.995 0.505 0.003
0.839 0.830 0.489
0.338 0.828 0.997
0.002 0.247 0.989
0.582 0.095 0.260
0.368 0.579 0.002
0.917 0.925 0.237
0.496 0.243 0.487
0.866 0.579 0.502
0.046 0.082 0.759
0.288 0.251 0.241
0.417 0.408 0.763
0.174 0.430 0.509
0.245 0.753 0.263
0.454 0.931 0.737
0.467 0.754 0.498
0.965 0.755 0.998
0.677 0.430 0.013
0.837 0.091 0.513
0.587 0.574 0.238
0.088 0.580 0.737
0.160 0.903 0.491
0.331 0.086 0.011
0.746 0.760 0.762
0.879 0.403 0.263
0.751 0.238 0.740
0.656 0.904 0.987
```

Space-group type: P-1
E (MP2020) in eV/cell: -339.86
Crystal system: triclinic
ΔH_f (0 K) in eV per atom: -2.14
Uncorrected energy in eV for the cell shown: -306.689

Here is a relaxed structure of Ca8Ti2Mn6O21 from the Materials Project database. Energies are from PBE with a Hubbard U.

POSCAR file:
```
Ca8Ti2Mn6O21
1.0
11.030 -0.065 -0.162
-0.088 15.548 -0.014
-0.158 -0.009 11.037
O Ca Ti Mn
84 32 8 24
Direct
0.613 0.483 0.111
0.454 0.380 0.308
0.356 0.033 0.118
0.396 0.706 0.384
0.604 0.484 0.615
0.657 0.224 0.352
0.608 0.761 0.602
0.175 0.258 0.800
0.757 0.122 0.036
0.752 0.871 0.460
0.363 0.517 0.164
0.904 0.733 0.899
0.854 0.478 0.641
0.859 0.977 0.158
0.111 0.989 0.613
0.856 0.773 0.648
0.865 0.981 0.656
0.407 0.729 0.894
0.643 0.517 0.858
0.175 0.016 0.354
0.598 0.984 0.573
0.155 0.527 0.867
0.016 0.877 0.299
0.299 0.339 0.017
0.217 0.613 0.519
0.489 0.623 0.718
0.745 0.375 0.463
0.927 0.239 0.418
0.357 0.487 0.641
0.995 0.372 0.276
0.901 0.008 0.902
0.899 0.014 0.400
0.899 0.516 0.388
0.662 0.230 0.855
0.566 0.247 0.589
0.012 0.378 0.804
0.180 0.164 0.530
0.859 0.487 0.143
0.010 0.631 0.222
0.108 0.771 0.598
0.630 0.035 0.835
0.099 0.470 0.624
0.626 0.527 0.364
0.107 0.972 0.107
0.184 0.159 0.029
0.168 0.256 0.292
0.569 0.255 0.094
0.891 0.518 0.899
0.005 0.128 0.743
0.741 0.625 0.045
0.852 0.261 0.161
0.366 0.050 0.608
0.021 0.876 0.792
0.352 0.755 0.640
0.629 0.024 0.331
0.750 0.377 0.973
0.592 0.986 0.071
0.112 0.480 0.108
0.164 0.493 0.354
0.865 0.269 0.660
0.989 0.626 0.720
0.453 0.873 0.281
0.496 0.871 0.764
0.224 0.649 0.066
0.492 0.375 0.776
0.652 0.726 0.356
0.752 0.624 0.544
0.744 0.872 0.959
0.927 0.242 0.924
0.384 0.188 0.363
0.150 0.736 0.846
0.289 0.893 0.491
0.870 0.774 0.143
0.647 0.731 0.854
0.389 0.182 0.864
0.274 0.350 0.503
0.894 0.731 0.406
0.184 0.009 0.856
0.590 0.761 0.115
0.755 0.123 0.538
0.165 0.750 0.336
0.296 0.875 0.994
0.004 0.124 0.229
0.396 0.511 0.904
0.533 0.622 0.974
0.962 0.390 0.501
0.757 0.382 0.250
0.732 0.388 0.757
0.534 0.628 0.512
0.244 0.393 0.226
0.499 0.861 0.499
0.225 0.121 0.224
0.725 0.864 0.740
0.773 0.624 0.757
0.493 0.377 0.522
0.996 0.623 0.515
0.783 0.622 0.261
0.223 0.121 0.729
0.265 0.626 0.737
0.967 0.867 0.514
0.965 0.392 0.008
0.768 0.121 0.250
0.511 0.384 0.987
0.238 0.883 0.280
0.741 0.859 0.250
0.979 0.117 0.019
0.236 0.621 0.270
0.017 0.620 0.998
0.539 0.120 0.480
0.239 0.406 0.770
0.520 0.857 0.973
0.771 0.124 0.752
0.233 0.856 0.737
0.955 0.873 0.999
0.544 0.124 0.984
0.976 0.118 0.530
0.238 0.984 0.011
0.991 0.259 0.778
0.238 0.002 0.512
0.255 0.243 0.438
0.993 0.992 0.762
0.265 0.238 0.942
0.988 0.993 0.262
0.987 0.253 0.272
0.745 0.250 0.505
0.754 0.745 0.001
0.258 0.521 0.010
0.250 0.742 0.496
0.002 0.748 0.752
0.500 0.744 0.745
0.502 0.751 0.262
0.498 0.501 0.751
0.510 0.247 0.754
0.002 0.752 0.264
0.744 0.500 0.504
0.264 0.750 0.984
0.742 0.997 0.989
0.997 0.500 0.757
0.508 0.258 0.259
0.744 0.996 0.489
0.501 0.989 0.218
0.508 0.489 0.247
0.234 0.491 0.512
0.500 0.998 0.720
0.753 0.746 0.503
0.750 0.503 0.005
0.007 0.501 0.252
0.749 0.250 0.007
```

Space-group type: P1
E (MP2020) in eV/cell: -1176.99
Crystal system: triclinic
ΔH_f (0 K) in eV per atom: -2.80
Uncorrected energy in eV for the cell shown: -1079.245

Here is a relaxed structure of MgWBr4O from the Materials Project database. Energies are from PBE with a Hubbard U.

POSCAR file:
```
MgWBr4O
1.0
-2.730 0.259 2.877
-6.400 -1.162 -3.222
-0.705 -7.066 2.717
Br O Mg W
4 1 1 1
Direct
0.951 0.328 0.803
0.271 0.796 0.698
0.095 0.671 0.174
0.767 0.194 0.308
0.539 0.970 0.987
0.717 0.677 0.925
0.000 0.023 0.012
```

Space-group type: Cm
E (MP2020) in eV/cell: -34.15
Crystal system: monoclinic
ΔH_f (0 K) in eV per atom: -1.16
Uncorrected energy in eV for the cell shown: -29.022

Here is a relaxed structure of LiCoF4 from the Materials Project database. Energies are from PBE with a Hubbard U.

POSCAR file:
```
LiCoF4
1.0
1.320 -1.193 -4.398
-4.571 2.376 -2.016
4.425 3.446 0.394
F Li Co
8 2 2
Direct
0.317 0.321 0.627
0.183 0.321 0.127
0.705 0.147 0.843
0.817 0.679 0.873
0.205 0.853 0.657
0.683 0.679 0.373
0.295 0.853 0.157
0.795 0.147 0.343
0.500 0.500 0.000
0.000 0.500 0.500
0.500 0.000 0.500
0.000 0.000 0.000
```

Space-group type: P2_1/c
E (MP2020) in eV/cell: -63.71
Crystal system: monoclinic
ΔH_f (0 K) in eV per atom: -2.53
Uncorrected energy in eV for the cell shown: -56.738

Here is a relaxed structure of CoS2N5ClO4 from the Materials Project database. Energies are from PBE with a Hubbard U.

POSCAR file:
```
CoS2N5ClO4
1.0
0.000 8.325 0.000
0.000 0.000 8.500
14.503 0.000 0.000
S N O Co Cl
8 20 16 4 4
Direct
0.750 0.013 0.602
0.250 0.987 0.398
0.750 0.473 0.361
0.250 0.513 0.898
0.250 0.973 0.139
0.750 0.487 0.102
0.750 0.027 0.861
0.250 0.527 0.639
0.750 0.515 0.881
0.113 0.177 0.767
0.387 0.177 0.767
0.830 0.844 0.910
0.330 0.156 0.090
0.613 0.677 0.733
0.670 0.844 0.910
0.750 0.985 0.381
0.613 0.823 0.233
0.113 0.323 0.267
0.887 0.677 0.733
0.887 0.823 0.233
0.170 0.344 0.590
0.250 0.485 0.119
0.830 0.656 0.410
0.330 0.344 0.590
0.670 0.656 0.410
0.387 0.323 0.267
0.250 0.015 0.619
0.170 0.156 0.090
0.101 0.064 0.419
0.750 0.163 0.648
0.250 0.649 0.568
0.250 0.837 0.352
0.250 0.851 0.068
0.601 0.564 0.081
0.250 0.663 0.852
0.101 0.436 0.919
0.750 0.351 0.432
0.750 0.337 0.148
0.601 0.936 0.581
0.399 0.064 0.419
0.899 0.564 0.081
0.750 0.149 0.932
0.899 0.936 0.581
0.399 0.436 0.919
0.750 0.674 0.830
0.250 0.326 0.170
0.750 0.826 0.330
0.250 0.174 0.670
0.750 0.581 0.658
0.750 0.919 0.158
0.250 0.081 0.842
0.250 0.419 0.342
```

Space-group type: Pnma
E (MP2020) in eV/cell: -294.56
Crystal system: orthorhombic
ΔH_f (0 K) in eV per atom: 0.39
Uncorrected energy in eV for the cell shown: -277.013

Here is a relaxed structure of KCaPrWO6 from the Materials Project database. Energies are from PBE with a Hubbard U.

POSCAR file:
```
KCaPrWO6
1.0
0.282 5.215 -3.067
-4.310 4.189 0.747
1.264 5.160 2.910
O Pr W Ca K
6 1 1 1 1
Direct
0.272 0.728 0.728
0.728 0.272 0.272
0.272 0.272 0.728
0.728 0.728 0.272
0.272 0.728 0.272
0.728 0.272 0.728
0.000 0.000 0.000
0.500 0.500 0.500
0.750 0.750 0.750
0.250 0.250 0.250
```

Space-group type: F-43m
E (MP2020) in eV/cell: -78.09
Crystal system: cubic
ΔH_f (0 K) in eV per atom: -2.75
Uncorrected energy in eV for the cell shown: -69.532

Here is a relaxed structure of BaCoSiO4 from the Materials Project database. Energies are from PBE with a Hubbard U.

POSCAR file:
```
BaCoSiO4
1.0
4.615 -7.993 0.000
4.615 7.993 0.000
0.000 0.000 8.789
O Si Ba Co
24 6 6 6
Direct
0.240 0.434 0.054
0.905 0.464 0.011
0.150 0.914 0.478
0.278 0.931 0.749
0.194 0.760 0.054
0.722 0.069 0.249
0.095 0.536 0.511
0.764 0.850 0.478
0.806 0.240 0.554
0.434 0.194 0.554
0.931 0.653 0.249
0.236 0.150 0.978
0.559 0.095 0.011
0.760 0.566 0.554
0.653 0.722 0.749
0.086 0.236 0.478
0.566 0.806 0.054
0.464 0.559 0.511
0.536 0.441 0.011
0.850 0.086 0.978
0.069 0.347 0.749
0.347 0.278 0.249
0.441 0.905 0.511
0.914 0.764 0.978
0.989 0.660 0.070
0.329 0.989 0.570
0.011 0.340 0.570
0.671 0.011 0.070
0.340 0.329 0.070
0.660 0.671 0.570
0.333 0.667 0.282
0.000 0.000 0.250
0.000 0.000 0.750
0.333 0.667 0.780
0.667 0.333 0.782
0.667 0.333 0.280
0.011 0.328 0.967
0.683 0.011 0.467
0.317 0.989 0.967
0.672 0.683 0.967
0.328 0.317 0.467
0.989 0.672 0.467
```

Space-group type: P6_3
E (MP2020) in eV/cell: -322.69
Crystal system: hexagonal
ΔH_f (0 K) in eV per atom: -2.79
Uncorrected energy in eV for the cell shown: -296.372

Here is a relaxed structure of Li5Co3O8 from the Materials Project database. Energies are from PBE with a Hubbard U.

POSCAR file:
```
Li5Co3O8
1.0
2.948 0.000 0.000
0.000 4.982 0.000
0.000 2.030 9.526
Co O Li
3 8 5
Direct
0.000 0.500 0.500
0.000 0.000 0.000
0.500 0.500 0.000
0.000 0.368 0.884
0.000 0.832 0.389
0.500 0.611 0.609
0.000 0.632 0.116
0.500 0.868 0.881
0.000 0.168 0.611
0.500 0.132 0.119
0.500 0.389 0.391
0.500 0.000 0.500
0.500 0.251 0.745
0.500 0.749 0.255
0.000 0.759 0.745
0.000 0.241 0.255
```

Space-group type: P2/m
E (MP2020) in eV/cell: -97.23
Crystal system: monoclinic
ΔH_f (0 K) in eV per atom: -1.67
Uncorrected energy in eV for the cell shown: -86.816

Here is a relaxed structure of Sr4Ca4Fe3Co5O24 from the Materials Project database. Energies are from PBE with a Hubbard U.

POSCAR file:
```
Sr4Ca4Fe3Co5O24
1.0
-7.302 -2.451 -0.205
2.017 -6.318 3.945
-1.427 3.704 6.659
Fe O Co Sr Ca
3 24 5 4 4
Direct
0.999 0.000 0.000
0.501 0.000 0.000
0.998 0.500 0.000
0.505 0.251 0.000
0.267 0.501 0.002
0.994 0.500 0.753
0.997 0.000 0.250
0.765 0.497 0.500
0.501 0.500 0.269
0.993 0.000 0.750
0.506 0.240 0.500
0.502 0.750 0.999
0.506 0.000 0.747
0.994 0.251 0.000
0.749 0.002 0.508
0.998 0.765 0.500
0.502 0.760 0.500
0.251 0.996 0.493
0.234 0.503 0.499
0.996 0.235 0.500
0.249 0.998 0.002
0.503 0.001 0.253
0.504 0.500 0.731
0.998 0.749 0.000
0.733 0.499 0.999
0.751 0.002 0.999
0.998 0.499 0.247
0.501 0.500 0.000
0.999 0.000 0.500
0.502 0.000 0.500
0.503 0.500 0.500
0.998 0.500 0.500
0.250 0.246 0.252
0.750 0.754 0.252
0.250 0.246 0.748
0.250 0.754 0.748
0.752 0.761 0.749
0.752 0.239 0.748
0.248 0.761 0.252
0.752 0.240 0.252
```

Space-group type: P1
E (MP2020) in eV/cell: -276.48
Crystal system: triclinic
ΔH_f (0 K) in eV per atom: -2.05
Uncorrected energy in eV for the cell shown: -245.030